<1>
A relaxed As4Pb9S15 crystal, computed with PBE.

Structure (CIF):
```
data_As4Pb9S15
_space_group_name_H-M_alt 'R 3 m'
_space_group_IT_number 160
_space_group_name_Hall 'R 3 -2"'
_cell_length_a 18.1037
_cell_length_b 18.1037
_cell_length_c 7.8812
_cell_angle_alpha 90.00
_cell_angle_beta 90.00
_cell_angle_gamma 120.00
loop_
_atom_site_label
_atom_site_type_symbol
_atom_site_fract_x
_atom_site_fract_y
_atom_site_fract_z
As1 As 0.0000 0.0000 0.0000
As2 As 0.1883 0.3767 0.1632
Pb1 Pb 0.0880 0.1759 0.4543
Pb2 Pb 0.1090 0.4221 0.6095
S1 S 0.0328 0.4207 0.9510
S2 S 0.0356 0.5178 0.3836
S3 S 0.1289 0.0645 0.1376
S4 S 0.1709 0.0855 0.6609
```

=====

<2>
A relaxed As4Pb9S15 crystal, computed with PBE.

Structure (CIF):
```
data_As4Pb9S15
_space_group_name_H-M_alt 'R 3 m'
_space_group_IT_number 160
_space_group_name_Hall 'R 3 -2"'
_cell_length_a 18.1057
_cell_length_b 18.1057
_cell_length_c 8.8030
_cell_angle_alpha 90.00
_cell_angle_beta 90.00
_cell_angle_gamma 120.00
loop_
_atom_site_label
_atom_site_type_symbol
_atom_site_fract_x
_atom_site_fract_y
_atom_site_fract_z
As1 As 0.0000 0.0000 0.0000
As2 As 0.0841 0.5420 0.0268
Pb1 Pb 0.0968 0.4266 0.6855
Pb2 Pb 0.2050 0.1025 0.5460
S1 S 0.0766 0.3450 0.3997
S2 S 0.0812 0.1624 0.5570
S3 S 0.1302 0.0651 0.8823
S4 S 0.1701 0.3403 0.9424
```

=====

Tell me which of them is the least stable. Sure, it is <2>.

=====

<1>
A relaxed Sc3As2 crystal, computed with PBE.

Structure (CIF):
```
data_Sc3As2
_space_group_name_H-M_alt 'P n m a'
_space_group_IT_number 62
_cell_length_a 10.455
_cell_length_b 3.844
_cell_length_c 10.332
_cell_angle_alpha 90.00
_cell_angle_beta 90.00
_cell_angle_gamma 90.00
loop_
_space_group_symop_operation_xyz
'x,y,z'
'-x,-y,-z'
'-x+1/2,-y,z+1/2'
'x+1/2,y,-z+1/2'
'x+1/2,-y+1/2,-z+1/2'
'-x+1/2,y+1/2,z+1/2'
'-x,y+1/2,-z'
'x,-y+1/2,z'
loop_
_atom_site_label
_atom_site_type_symbol
_atom_site_fract_x
_atom_site_fract_y
_atom_site_fract_z
Sc1 Sc 0.049 0.250 0.132
Sc2 Sc 0.128 0.750 0.564
Sc3 Sc 0.223 0.250 0.796
As1 As 0.013 0.750 0.321
As2 As 0.187 0.750 0.995
```

=====

<2>
A relaxed Sc3As2 crystal, computed with PBE.

Structure (CIF):
```
data_Sc3As2
_space_group_name_H-M_alt 'P 4/m'
_space_group_IT_number 83
_cell_length_a 10.354
_cell_length_b 10.354
_cell_length_c 3.864
_cell_angle_alpha 90.00
_cell_angle_beta 90.00
_cell_angle_gamma 90.00
loop_
_space_group_symop_operation_xyz
'x,y,z'
'-x,-y,-z'
'-y,x,z'
'y,-x,-z'
'-x,-y,z'
'x,y,-z'
'y,-x,z'
'-y,x,-z'
loop_
_atom_site_label
_atom_site_type_symbol
_atom_site_fract_x
_atom_site_fract_y
_atom_site_fract_z
Sc1 Sc 0.000 0.000 0.000
Sc2 Sc 0.000 0.500 0.000
Sc3 Sc 0.103 0.780 0.500
Sc4 Sc 0.312 0.360 0.000
Sc5 Sc 0.500 0.500 0.500
As1 As 0.083 0.246 0.000
As2 As 0.222 0.544 0.500
```

=====

Tell me which of them is the least stable. Sure, it is <2>.

=====

<1>
A relaxed Sm2AsSe crystal, computed with PBE.

Structure (CIF):
```
data_Sm2AsSe
_space_group_name_H-M_alt 'I 41/a m d'
_space_group_IT_number 141
_cell_length_a 5.930
_cell_length_b 5.930
_cell_length_c 11.893
_cell_angle_alpha 90.00
_cell_angle_beta 90.00
_cell_angle_gamma 90.00
loop_
_space_group_symop_operation_xyz
'x,y,z'
'-x,-y,-z'
'-y+1/4,x+3/4,z+1/4'
'y+1/4,-x+3/4,-z+1/4'
'-x+1/2,-y,z+1/2'
'x+1/2,y,-z+1/2'
'y+1/4,-x+1/4,z+3/4'
'-y+1/4,x+1/4,-z+3/4'
'x,-y,-z'
'-x,y,z'
'-y+1/4,-x+1/4,-z+3/4'
'y+1/4,x+1/4,z+3/4'
'-x+1/2,y,-z+1/2'
'x+1/2,-y,z+1/2'
'y+1/4,x+3/4,-z+1/4'
'-y+1/4,-x+3/4,z+1/4'
'x+1/2,y+1/2,z+1/2'
'-x+1/2,-y+1/2,-z+1/2'
'-y+3/4,x+1/4,z+3/4'
'y+3/4,-x+1/4,-z+3/4'
'-x,-y+1/2,z'
'x,y+1/2,-z'
'y+3/4,-x+3/4,z+1/4'
'-y+3/4,x+3/4,-z+1/4'
'x+1/2,-y+1/2,-z+1/2'
'-x+1/2,y+1/2,z+1/2'
'-y+3/4,-x+3/4,-z+1/4'
'y+3/4,x+3/4,z+1/4'
'-x,y+1/2,-z'
'x,-y+1/2,z'
'y+3/4,x+1/4,-z+3/4'
'-y+3/4,-x+1/4,z+3/4'
loop_
_atom_site_label
_atom_site_type_symbol
_atom_site_fract_x
_atom_site_fract_y
_atom_site_fract_z
Sm1 Sm 0.000 0.250 0.120
As1 As 0.000 0.250 0.875
Se1 Se 0.000 0.250 0.375
```

=====

<2>
A relaxed Sm2AsSe crystal, computed with PBE.

Structure (CIF):
```
data_Sm2AsSe
_space_group_name_H-M_alt 'R -3 m'
_space_group_IT_number 166
_space_group_name_Hall '-R 3 2"'
_cell_length_a 4.1962
_cell_length_b 4.1962
_cell_length_c 20.6025
_cell_angle_alpha 90.00
_cell_angle_beta 90.00
_cell_angle_gamma 120.00
loop_
_atom_site_label
_atom_site_type_symbol
_atom_site_fract_x
_atom_site_fract_y
_atom_site_fract_z
Sm1 Sm 0.0000 0.0000 0.2462
As1 As 0.0000 0.0000 0.5000
Se1 Se 0.0000 0.0000 0.0000
```

=====

Tell me which of them is the least stable. Sure, it is <1>.